# 1
{"formula": "BaU2S5", "functional": "PBE", "state": "relaxed", "lattice_angstrom": [[13.012, 0.000, 0.000], [0.000, 7.949, 0.000], [0.000, 0.000, 7.380]], "species": ["Ba", "Ba", "Ba", "Ba", "U", "U", "U", "U", "U", "U", "U", "U", "S", "S", "S", "S", "S", "S", "S", "S", "S", "S", "S", "S", "S", "S", "S", "S", "S", "S", "S", "S"], "frac_coords": [[0.007, 0.250, 0.074], [0.493, 0.750, 0.574], [0.507, 0.250, 0.426], [0.993, 0.750, 0.926], [0.185, 0.006, 0.506], [0.185, 0.494, 0.506], [0.315, 0.506, 0.006], [0.315, 0.994, 0.006], [0.685, 0.006, 0.994], [0.685, 0.494, 0.994], [0.815, 0.506, 0.494], [0.815, 0.994, 0.494], [0.012, 0.250, 0.491], [0.132, 0.547, 0.168], [0.132, 0.953, 0.168], [0.192, 0.250, 0.816], [0.217, 0.750, 0.781], [0.283, 0.250, 0.281], [0.308, 0.750, 0.316], [0.368, 0.047, 0.668], [0.368, 0.453, 0.668], [0.488, 0.750, 0.991], [0.512, 0.250, 0.009], [0.632, 0.547, 0.332], [0.632, 0.953, 0.332], [0.692, 0.250, 0.684], [0.717, 0.750, 0.719], [0.783, 0.250, 0.219], [0.808, 0.750, 0.184], [0.868, 0.047, 0.832], [0.868, 0.453, 0.832], [0.988, 0.750, 0.509]], "e_tot_ev_per_atom": -7.00, "polymorph_energy_ev_per_atom": 0.2521, "ef_mev_per_atom": -1667}

---

# 2
{"formula": "Ba3Ti2N4", "functional": "PBE", "state": "relaxed", "lattice_angstrom": [[6.382, 0.000, 0.000], [0.000, 10.644, 0.000], [0.000, 0.000, 10.382]], "species": ["Ba", "Ba", "Ba", "Ba", "Ba", "Ba", "Ba", "Ba", "Ba", "Ba", "Ba", "Ba", "Ti", "Ti", "Ti", "Ti", "Ti", "Ti", "Ti", "Ti", "N", "N", "N", "N", "N", "N", "N", "N", "N", "N", "N", "N", "N", "N", "N", "N"], "frac_coords": [[0.118, 0.159, 0.080], [0.118, 0.341, 0.420], [0.250, 0.000, 0.401], [0.250, 0.500, 0.099], [0.382, 0.659, 0.420], [0.382, 0.841, 0.080], [0.618, 0.159, 0.920], [0.618, 0.341, 0.580], [0.750, 0.000, 0.599], [0.750, 0.500, 0.901], [0.882, 0.659, 0.580], [0.882, 0.841, 0.920], [0.147, 0.250, 0.750], [0.250, 0.000, 0.734], [0.250, 0.500, 0.766], [0.353, 0.750, 0.750], [0.647, 0.250, 0.250], [0.750, 0.000, 0.266], [0.750, 0.500, 0.234], [0.853, 0.750, 0.250], [0.026, 0.089, 0.828], [0.026, 0.411, 0.672], [0.165, 0.649, 0.863], [0.165, 0.851, 0.637], [0.335, 0.149, 0.637], [0.335, 0.351, 0.863], [0.474, 0.589, 0.672], [0.474, 0.911, 0.828], [0.526, 0.089, 0.172], [0.526, 0.411, 0.328], [0.665, 0.649, 0.137], [0.665, 0.851, 0.363], [0.835, 0.149, 0.363], [0.835, 0.351, 0.137], [0.974, 0.589, 0.328], [0.974, 0.911, 0.172]], "e_tot_ev_per_atom": -7.09, "polymorph_energy_ev_per_atom": 0.0000, "ef_mev_per_atom": -1154}

---

# 3
{"formula": "Ca5Si3O13", "functional": "PBE", "state": "relaxed", "lattice_angstrom": [[9.646, 0.000, 0.000], [-4.823, 8.354, 0.000], [0.000, 0.000, 6.995]], "species": ["Ca", "Ca", "Ca", "Ca", "Ca", "Ca", "Ca", "Ca", "Ca", "Ca", "Si", "Si", "Si", "Si", "Si", "Si", "O", "O", "O", "O", "O", "O", "O", "O", "O", "O", "O", "O", "O", "O", "O", "O", "O", "O", "O", "O", "O", "O", "O", "O", "O", "O"], "frac_coords": [[0.006, 0.753, 0.250], [0.247, 0.253, 0.250], [0.253, 0.006, 0.750], [0.333, 0.667, 0.005], [0.333, 0.667, 0.495], [0.667, 0.333, 0.505], [0.667, 0.333, 0.995], [0.747, 0.994, 0.250], [0.753, 0.747, 0.750], [0.994, 0.247, 0.750], [0.028, 0.632, 0.750], [0.368, 0.397, 0.750], [0.397, 0.028, 0.250], [0.603, 0.972, 0.750], [0.632, 0.603, 0.250], [0.972, 0.368, 0.250], [0.000, 0.000, 0.250], [0.000, 0.000, 0.750], [0.090, 0.750, 0.563], [0.090, 0.750, 0.937], [0.126, 0.533, 0.750], [0.167, 0.483, 0.250], [0.250, 0.340, 0.563], [0.250, 0.340, 0.937], [0.316, 0.833, 0.250], [0.340, 0.090, 0.063], [0.340, 0.090, 0.437], [0.407, 0.874, 0.750], [0.467, 0.593, 0.750], [0.483, 0.316, 0.750], [0.517, 0.684, 0.250], [0.533, 0.407, 0.250], [0.593, 0.126, 0.250], [0.660, 0.910, 0.563], [0.660, 0.910, 0.937], [0.684, 0.167, 0.750], [0.750, 0.660, 0.063], [0.750, 0.660, 0.437], [0.833, 0.517, 0.750], [0.874, 0.467, 0.250], [0.910, 0.250, 0.063], [0.910, 0.250, 0.437]], "e_tot_ev_per_atom": -6.89, "ef_mev_per_atom": -2996}

---

# 4
{"formula": "Na3LiTi2F12", "functional": "PBE", "state": "relaxed", "lattice_angstrom": [[5.241, 0.000, 0.000], [0.000, 5.241, 0.000], [0.000, 0.000, 18.463]], "species": ["Na", "Na", "Na", "Na", "Na", "Na", "Li", "Li", "Ti", "Ti", "Ti", "Ti", "F", "F", "F", "F", "F", "F", "F", "F", "F", "F", "F", "F", "F", "F", "F", "F", "F", "F", "F", "F", "F", "F", "F", "F"], "frac_coords": [[0.000, 0.000, 0.000], [0.000, 0.500, 0.189], [0.000, 0.500, 0.689], [0.500, 0.000, 0.311], [0.500, 0.000, 0.811], [0.500, 0.500, 0.500], [0.000, 0.000, 0.500], [0.500, 0.500, 0.000], [0.000, 0.500, 0.376], [0.000, 0.500, 0.876], [0.500, 0.000, 0.124], [0.500, 0.000, 0.624], [0.147, 0.701, 0.302], [0.150, 0.714, 0.449], [0.201, 0.647, 0.802], [0.209, 0.210, 0.884], [0.210, 0.791, 0.116], [0.214, 0.650, 0.949], [0.286, 0.150, 0.551], [0.290, 0.291, 0.384], [0.291, 0.710, 0.616], [0.299, 0.147, 0.698], [0.350, 0.214, 0.051], [0.353, 0.201, 0.198], [0.647, 0.799, 0.198], [0.650, 0.786, 0.051], [0.701, 0.853, 0.698], [0.709, 0.290, 0.616], [0.710, 0.709, 0.384], [0.714, 0.850, 0.551], [0.786, 0.350, 0.949], [0.790, 0.209, 0.116], [0.791, 0.790, 0.884], [0.799, 0.353, 0.802], [0.850, 0.286, 0.449], [0.853, 0.299, 0.302]], "e_tot_ev_per_atom": -5.68, "ef_mev_per_atom": -3507}

---

# 5
{"formula": "Nd2Tm", "functional": "PBE", "state": "relaxed", "lattice_angstrom": [[1.804, 1.042, 8.916], [-1.804, 1.042, 8.916], [0.000, -2.083, 8.916]], "species": ["Nd", "Nd", "Tm"], "frac_coords": [[0.225, 0.225, 0.225], [0.775, 0.775, 0.775], [0.000, 0.000, 0.000]], "e_tot_ev_per_atom": -4.64, "ef_mev_per_atom": 32}

---

# 6
{"formula": "YMg3O4", "functional": "PBE", "state": "relaxed", "lattice_angstrom": [[4.547, 0.000, 0.000], [0.000, 4.547, 0.000], [0.000, 0.000, 4.547]], "species": ["Y", "Mg", "Mg", "Mg", "O", "O", "O", "O"], "frac_coords": [[0.000, 0.000, 0.000], [0.000, 0.500, 0.500], [0.500, 0.000, 0.500], [0.500, 0.500, 0.000], [0.000, 0.000, 0.500], [0.000, 0.500, 0.000], [0.500, 0.000, 0.000], [0.500, 0.500, 0.500]], "e_tot_ev_per_atom": -6.35, "ef_mev_per_atom": -2816}